(1)
# MnCd4Te5 | Materials Project | GGA-PBE | optimized geometry
# - raw total energy (eV/atom) = -3.247
# - ρ (g/cm³) = 5.4
# - formation energy from the elements (eV per atom) = -0.600
# - E (MP2020) (eV/cell) = -69.150
# - crystal system = tetragonal
data_MnCd4Te5
_chemical_formula_sum 'Mn2 Cd8 Te10'
_symmetry_space_group_name_H-M 'I -4'
_symmetry_Int_Tables_number 82
_symmetry_space_group_name_Hall 'I -4'
_cell_length_a 10.3801
_cell_length_b 10.3801
_cell_length_c 6.5668
_cell_angle_alpha 90.00
_cell_angle_beta 90.00
_cell_angle_gamma 90.00
loop_
_atom_site_label
_atom_site_type_symbol
_atom_site_fract_x
_atom_site_fract_y
_atom_site_fract_z
_atom_site_occupancy
Mn1 Mn 0.0000 0.0000 0.0000 1
Cd1 Cd 0.1005 0.2989 0.4988 1
Te1 Te 0.0000 0.5000 0.7500 1
Te2 Te 0.0962 0.8070 0.2405 1

***

(2)
# MnCd2Te3 | Materials Project | GGA-PBE | optimized geometry
# - raw total energy (eV/atom) = -3.737
# - ρ (g/cm³) = 5.3
# - formation energy from the elements (eV per atom) = -0.541
# - E (MP2020) (eV/cell) = -23.685
# - crystal system = trigonal
data_MnCd2Te3
_chemical_formula_sum 'Mn1 Cd2 Te3'
_symmetry_space_group_name_H-M 'P 3 m 1'
_symmetry_Int_Tables_number 156
_symmetry_space_group_name_Hall 'P 3 -2"'
_cell_length_a 4.6324
_cell_length_b 4.6324
_cell_length_c 11.2493
_cell_angle_alpha 90.00
_cell_angle_beta 90.00
_cell_angle_gamma 120.00
loop_
_atom_site_label
_atom_site_type_symbol
_atom_site_fract_x
_atom_site_fract_y
_atom_site_fract_z
_atom_site_occupancy
Mn1 Mn 0.0000 0.0000 0.0000 1
Cd1 Cd 0.3333 0.6667 0.6745 1
Cd2 Cd 0.6667 0.3333 0.3331 1
Te1 Te 0.0000 0.0000 0.2428 1
Te2 Te 0.3333 0.6667 0.9302 1
Te3 Te 0.6667 0.3333 0.5865 1